[1]
Crystalline Cu3P6O32 at its relaxed geometry, computed with PBE-GGA.

ΔH_f (0 K)	-903	meV/atom
magnetic moment	9.000	Bohr magnetons per cell
distance to the lowest polymorph of the same formula	0.00	kJ/mol of atoms
symmetry	P-1 (2)
E	-240.1	eV/f.u.

Geometry as CIF:
```
data_Cu3P6O32
_chemical_formula_sum 'Cu3 P6 O32'
_cell_length_a 6.359
_cell_length_b 9.764
_cell_length_c 11.149
_cell_angle_alpha 74.12
_cell_angle_beta 87.14
_cell_angle_gamma 67.44
_symmetry_space_group_name_H-M 'P 1'
_symmetry_Int_Tables_number 1
loop_
_symmetry_equiv_pos_as_xyz
'x,y,z'
loop_
_atom_site_label
_atom_site_fract_x
_atom_site_fract_y
_atom_site_fract_z
_atom_site_occupancy
Cu1 0.549 0.574 0.732 1
Cu2 0.451 0.426 0.268 1
Cu3 0.000 0.000 0.000 1
O1 0.814 0.596 0.088 1
O2 0.260 0.081 0.317 1
O3 0.104 0.723 0.388 1
O4 0.277 0.537 0.696 1
O5 0.740 0.919 0.683 1
O6 0.801 0.850 0.122 1
O7 0.695 0.365 0.605 1
O8 0.121 0.467 0.270 1
O9 0.693 0.112 0.386 1
O10 0.264 0.814 0.031 1
O11 0.186 0.404 0.912 1
O12 0.972 0.318 0.158 1
O13 0.896 0.277 0.612 1
O14 0.656 0.833 0.913 1
O15 0.321 0.017 0.586 1
O16 0.679 0.983 0.414 1
O17 0.510 0.230 0.411 1
O18 0.199 0.150 0.878 1
O19 0.960 0.950 0.853 1
O20 0.028 0.682 0.842 1
O21 0.344 0.167 0.087 1
O22 0.723 0.463 0.304 1
O23 0.305 0.635 0.395 1
O24 0.879 0.533 0.730 1
O25 0.736 0.186 0.969 1
O26 0.490 0.770 0.589 1
O27 0.432 0.816 0.110 1
O28 0.568 0.184 0.890 1
O29 0.498 0.423 0.110 1
O30 0.307 0.888 0.614 1
O31 0.502 0.577 0.890 1
O32 0.040 0.050 0.147 1
P1 0.084 0.542 0.783 1
P2 0.916 0.458 0.217 1
P3 0.688 0.778 0.061 1
P4 0.843 0.860 0.812 1
P5 0.157 0.140 0.188 1
P6 0.312 0.222 0.939 1
```


[2]
Crystalline NaSr7Cu8S8F8 at its relaxed geometry, computed with PBE-GGA.

ΔH_f (0 K)	-2228	meV/atom
magnetic moment	0.006	Bohr magnetons per cell
symmetry	P4mm (99)
E	-157.9	eV/f.u.

Geometry as CIF:
```
data_NaSr7Cu8S8F8
_chemical_formula_sum 'Na1 Sr7 Cu8 S8 F8'
_cell_length_a 7.912
_cell_length_b 7.912
_cell_length_c 8.747
_cell_angle_alpha 90.00
_cell_angle_beta 90.00
_cell_angle_gamma 90.00
_symmetry_space_group_name_H-M 'P 1'
_symmetry_Int_Tables_number 1
loop_
_symmetry_equiv_pos_as_xyz
'x,y,z'
loop_
_atom_site_label
_atom_site_fract_x
_atom_site_fract_y
_atom_site_fract_z
_atom_site_occupancy
Na1 0.000 0.000 0.970 1
S1 0.252 0.252 0.177 1
S2 0.500 0.000 0.491 1
S3 0.748 0.748 0.177 1
S4 0.000 0.000 0.490 1
S5 0.748 0.252 0.177 1
S6 0.252 0.748 0.177 1
S7 0.000 0.500 0.491 1
S8 0.500 0.500 0.496 1
Cu1 0.252 0.500 0.333 1
Cu2 0.500 0.748 0.333 1
Cu3 0.748 0.500 0.333 1
Cu4 0.248 0.000 0.330 1
Cu5 0.500 0.252 0.333 1
Cu6 0.752 0.000 0.330 1
Cu7 0.000 0.752 0.330 1
Cu8 0.000 0.248 0.330 1
F1 0.747 0.000 0.832 1
F2 0.000 0.747 0.832 1
F3 0.500 0.749 0.834 1
F4 0.749 0.500 0.834 1
F5 0.253 0.000 0.832 1
F6 0.500 0.251 0.834 1
F7 0.251 0.500 0.834 1
F8 0.000 0.253 0.832 1
Sr1 0.500 0.000 0.001 1
Sr2 0.248 0.248 0.669 1
Sr3 0.752 0.752 0.669 1
Sr4 0.500 0.500 0.004 1
Sr5 0.248 0.752 0.669 1
Sr6 0.000 0.500 0.001 1
Sr7 0.752 0.248 0.669 1
```


[3]
Crystalline Sc7CoI12 at its relaxed geometry, computed with PBE-GGA.

ΔH_f (0 K)	-1359	meV/atom
symmetry	R-3 (148)
E	-92.3	eV/f.u.

Geometry as CIF:
```
data_Sc7CoI12
_chemical_formula_sum 'Sc7 Co1 I12'
_cell_length_a 9.434
_cell_length_b 9.434
_cell_length_c 9.434
_cell_angle_alpha 107.29
_cell_angle_beta 107.29
_cell_angle_gamma 107.29
_symmetry_space_group_name_H-M 'P 1'
_symmetry_Int_Tables_number 1
loop_
_symmetry_equiv_pos_as_xyz
'x,y,z'
loop_
_atom_site_label
_atom_site_fract_x
_atom_site_fract_y
_atom_site_fract_z
_atom_site_occupancy
I1 0.687 0.072 0.221 1
I2 0.617 0.840 0.545 1
I3 0.221 0.687 0.072 1
I4 0.840 0.545 0.617 1
I5 0.383 0.160 0.455 1
I6 0.160 0.455 0.383 1
I7 0.545 0.617 0.840 1
I8 0.455 0.383 0.160 1
I9 0.313 0.928 0.779 1
I10 0.779 0.313 0.928 1
I11 0.072 0.221 0.687 1
I12 0.928 0.779 0.313 1
Sc1 0.279 0.023 0.088 1
Sc2 0.912 0.721 0.977 1
Sc3 0.088 0.279 0.023 1
Sc4 0.977 0.912 0.721 1
Sc5 0.023 0.088 0.279 1
Sc6 0.500 0.500 0.500 1
Sc7 0.721 0.977 0.912 1
Co1 0.000 0.000 0.000 1
```


[4]
Crystalline CaZr4O9 at its relaxed geometry, computed with PBE-GGA.

ΔH_f (0 K)	-3666	meV/atom
magnetic moment	0.002	Bohr magnetons per cell
distance to the lowest polymorph of the same formula	9.18	kJ/mol of atoms
symmetry	C2/m (12)
E	-125.9	eV/f.u.

Geometry as CIF:
```
data_CaZr4O9
_chemical_formula_sum 'Ca2 Zr8 O18'
_cell_length_a 15.782
_cell_length_b 15.782
_cell_length_c 6.503
_cell_angle_alpha 86.56
_cell_angle_beta 86.56
_cell_angle_gamma 12.76
_symmetry_space_group_name_H-M 'P 1'
_symmetry_Int_Tables_number 1
loop_
_symmetry_equiv_pos_as_xyz
'x,y,z'
loop_
_atom_site_label
_atom_site_fract_x
_atom_site_fract_y
_atom_site_fract_z
_atom_site_occupancy
O1 0.427 0.427 0.971 1
O2 0.071 0.071 0.393 1
O3 0.133 0.133 0.088 1
O4 0.819 0.819 0.266 1
O5 0.720 0.720 0.961 1
O6 0.612 0.612 0.650 1
O7 0.972 0.972 0.204 1
O8 0.231 0.231 0.382 1
O9 0.573 0.573 0.029 1
O10 0.028 0.028 0.796 1
O11 0.181 0.181 0.734 1
O12 0.280 0.280 0.039 1
O13 0.388 0.388 0.350 1
O14 0.672 0.672 0.319 1
O15 0.867 0.867 0.912 1
O16 0.328 0.328 0.681 1
O17 0.929 0.929 0.607 1
O18 0.769 0.769 0.618 1
Zr1 0.605 0.605 0.297 1
Zr2 0.297 0.297 0.399 1
Zr3 0.703 0.703 0.601 1
Zr4 0.907 0.907 0.179 1
Zr5 0.093 0.093 0.821 1
Zr6 0.200 0.200 0.100 1
Zr7 0.800 0.800 0.900 1
Zr8 0.395 0.395 0.703 1
Ca1 0.000 0.000 0.500 1
Ca2 0.500 0.500 0.000 1
```


[5]
Crystalline CeN2 at its relaxed geometry, computed with PBE-GGA.

ΔH_f (0 K)	-1189	meV/atom
symmetry	Cm (8)
E	-25.5	eV/f.u.

Geometry as CIF:
```
data_CeN2
_chemical_formula_sum 'Ce3 N6'
_cell_length_a 4.772
_cell_length_b 6.395
_cell_length_c 5.907
_cell_angle_alpha 65.09
_cell_angle_beta 90.01
_cell_angle_gamma 111.92
_symmetry_space_group_name_H-M 'P 1'
_symmetry_Int_Tables_number 1
loop_
_symmetry_equiv_pos_as_xyz
'x,y,z'
loop_
_atom_site_label
_atom_site_fract_x
_atom_site_fract_y
_atom_site_fract_z
_atom_site_occupancy
N1 0.396 0.791 0.471 1
N2 0.180 0.360 0.065 1
N3 0.848 0.697 0.836 1
N4 0.385 0.769 0.263 1
N5 0.064 0.129 0.180 1
N6 0.628 0.257 0.730 1
Ce1 0.630 0.260 0.099 1
Ce2 0.411 0.822 0.847 1
Ce3 0.835 0.671 0.465 1
```


[6]
Crystalline Ta3AlP6O24 at its relaxed geometry, computed with PBE-GGA.

ΔH_f (0 K)	-3018	meV/atom
magnetic moment	0.000	Bohr magnetons per cell
symmetry	P3 (143)
E	-276.7	eV/f.u.

Geometry as CIF:
```
data_Ta3AlP6O24
_chemical_formula_sum 'Ta9 Al3 P18 O72'
_cell_length_a 8.664
_cell_length_b 8.664
_cell_length_c 22.371
_cell_angle_alpha 90.00
_cell_angle_beta 90.00
_cell_angle_gamma 120.00
_symmetry_space_group_name_H-M 'P 1'
_symmetry_Int_Tables_number 1
loop_
_symmetry_equiv_pos_as_xyz
'x,y,z'
loop_
_atom_site_label
_atom_site_fract_x
_atom_site_fract_y
_atom_site_fract_z
_atom_site_occupancy
O1 0.639 0.503 0.926 1
O2 0.810 0.973 0.405 1
O3 0.829 0.799 0.594 1
O4 0.029 0.198 0.195 1
O5 0.532 0.698 0.972 1
O6 0.831 0.033 0.805 1
O7 0.505 0.366 0.140 1
O8 0.135 0.498 0.574 1
O9 0.364 0.865 0.861 1
O10 0.501 0.636 0.861 1
O11 0.835 0.531 0.028 1
O12 0.965 0.164 0.306 1
O13 0.497 0.136 0.926 1
O14 0.202 0.169 0.805 1
O15 0.503 0.867 0.074 1
O16 0.199 0.035 0.306 1
O17 0.501 0.865 0.361 1
O18 0.641 0.134 0.427 1
O19 0.861 0.495 0.140 1
O20 0.696 0.526 0.239 1
O21 0.364 0.499 0.361 1
O22 0.133 0.636 0.074 1
O23 0.502 0.637 0.574 1
O24 0.532 0.840 0.760 1
O25 0.364 0.497 0.074 1
O26 0.169 0.972 0.907 1
O27 0.302 0.834 0.972 1
O28 0.169 0.971 0.195 1
O29 0.160 0.467 0.260 1
O30 0.864 0.361 0.926 1
O31 0.694 0.171 0.739 1
O32 0.972 0.802 0.092 1
O33 0.028 0.197 0.907 1
O34 0.163 0.190 0.405 1
O35 0.967 0.798 0.805 1
O36 0.829 0.523 0.739 1
O37 0.802 0.831 0.195 1
O38 0.535 0.835 0.471 1
O39 0.863 0.366 0.641 1
O40 0.135 0.636 0.361 1
O41 0.307 0.840 0.260 1
O42 0.474 0.169 0.239 1
O43 0.634 0.139 0.140 1
O44 0.831 0.028 0.092 1
O45 0.168 0.199 0.695 1
O46 0.165 0.700 0.471 1
O47 0.493 0.359 0.427 1
O48 0.803 0.831 0.907 1
O49 0.166 0.468 0.972 1
O50 0.135 0.499 0.861 1
O51 0.160 0.692 0.760 1
O52 0.363 0.865 0.574 1
O53 0.801 0.969 0.695 1
O54 0.866 0.507 0.427 1
O55 0.308 0.468 0.760 1
O56 0.198 0.169 0.092 1
O57 0.698 0.531 0.529 1
O58 0.831 0.304 0.239 1
O59 0.469 0.304 0.028 1
O60 0.469 0.167 0.529 1
O61 0.696 0.165 0.028 1
O62 0.836 0.801 0.306 1
O63 0.201 0.029 0.594 1
O64 0.477 0.306 0.739 1
O65 0.634 0.497 0.641 1
O66 0.300 0.465 0.471 1
O67 0.027 0.837 0.405 1
O68 0.533 0.693 0.260 1
O69 0.503 0.137 0.641 1
O70 0.971 0.171 0.594 1
O71 0.833 0.302 0.529 1
O72 0.031 0.832 0.695 1
P1 0.386 0.330 0.087 1
P2 0.662 0.608 0.586 1
P3 0.392 0.054 0.586 1
P4 0.987 0.704 0.748 1
P5 0.629 0.950 0.414 1
P6 0.050 0.679 0.414 1
P7 0.296 0.284 0.748 1
P8 0.050 0.383 0.917 1
P9 0.321 0.371 0.414 1
P10 0.987 0.279 0.252 1
P11 0.333 0.950 0.917 1
P12 0.617 0.667 0.917 1
P13 0.944 0.614 0.087 1
P14 0.670 0.056 0.087 1
P15 0.721 0.708 0.252 1
P16 0.292 0.013 0.252 1
P17 0.716 0.013 0.748 1
P18 0.946 0.338 0.586 1
Ta1 0.000 0.000 0.640 1
Ta2 0.333 0.667 0.028 1
Ta3 0.667 0.333 0.978 1
Ta4 0.000 0.000 0.147 1
Ta5 0.333 0.667 0.307 1
Ta6 0.333 0.667 0.806 1
Ta7 0.000 0.000 0.854 1
Ta8 0.667 0.333 0.473 1
Ta9 0.333 0.667 0.522 1
Al1 0.667 0.333 0.688 1
Al2 0.000 0.000 0.353 1
Al3 0.667 0.333 0.193 1
```


[7]
Crystalline Ce3Mg2Rh4 at its relaxed geometry, computed with PBE-GGA.

ΔH_f (0 K)	-611	meV/atom
magnetic moment	0.000	Bohr magnetons per cell
symmetry	Amm2 (38)
E	-56.0	eV/f.u.

Geometry as CIF:
```
data_Ce3Mg2Rh4
_chemical_formula_sum 'Ce3 Mg2 Rh4'
_cell_length_a 7.216
_cell_length_b 7.216
_cell_length_c 3.913
_cell_angle_alpha 90.00
_cell_angle_beta 90.00
_cell_angle_gamma 114.55
_symmetry_space_group_name_H-M 'P 1'
_symmetry_Int_Tables_number 1
loop_
_symmetry_equiv_pos_as_xyz
'x,y,z'
loop_
_atom_site_label
_atom_site_fract_x
_atom_site_fract_y
_atom_site_fract_z
_atom_site_occupancy
Rh1 0.644 0.308 0.500 1
Rh2 0.308 0.644 0.500 1
Rh3 0.760 0.760 0.500 1
Rh4 0.029 0.029 0.000 1
Ce1 0.615 0.964 0.000 1
Ce2 0.423 0.423 0.000 1
Ce3 0.964 0.615 0.000 1
Mg1 0.999 0.257 0.500 1
Mg2 0.257 0.999 0.500 1
```


[8]
Crystalline Mg at its relaxed geometry, computed with PBE-GGA.

ΔH_f (0 K)	9	meV/atom
distance to the lowest polymorph of the same formula	0.90	kJ/mol of atoms
symmetry	P6_3/mmc (194)
E	-1.6	eV/f.u.

Geometry as CIF:
```
data_Mg
_chemical_formula_sum 'Mg2'
_cell_length_a 3.203
_cell_length_b 3.203
_cell_length_c 5.127
_cell_angle_alpha 90.00
_cell_angle_beta 90.00
_cell_angle_gamma 120.00
_symmetry_space_group_name_H-M 'P 1'
_symmetry_Int_Tables_number 1
loop_
_symmetry_equiv_pos_as_xyz
'x,y,z'
loop_
_atom_site_label
_atom_site_fract_x
_atom_site_fract_y
_atom_site_fract_z
_atom_site_occupancy
Mg1 0.333 0.667 0.750 1
Mg2 0.667 0.333 0.250 1
```